[1]
A plane-wave DFT calculation with PBE was carried out for a geometry-optimized Dy2Ni7 structure.

Cell: 4.9373 4.9373 24.0766 Å, 90.00 90.00 120.00°
Space group P6_3/mmc (No. 194)
Unique sites:
Dy  0.3333  0.6667  0.0292 [4 per cell]
Dy  0.3333  0.6667  0.1735 [4 per cell]
Ni  0.0000  0.0000  0.0000 [2 per cell]
Ni  0.0000  0.0000  0.1675 [4 per cell]
Ni  0.1672  0.3345  0.5852 [12 per cell]
Ni  0.1668  0.3335  0.7500 [6 per cell]
Ni  0.3333  0.6667  0.6672 [4 per cell]

Computed properties:
Calculated formation energy   -0.3913 eV/atom
Relative energy among the computed polymorphs   0.0066 eV per atom


[2]
A plane-wave DFT calculation with PBE was carried out for a geometry-optimized Dy3Ni2 structure.

Cell: 13.286 3.660 9.516 Å, 90.00 105.45 90.00°
Space group C2/m (No. 12)
Unique sites:
Dy  0.097  0.000  0.173 [4 per cell]
Dy  0.132  0.500  0.497 [4 per cell]
Dy  0.144  0.500  0.867 [4 per cell]
Ni  0.035  0.000  0.644 [4 per cell]
Ni  0.244  0.000  0.727 [4 per cell]

Computed properties:
Calculated formation energy   -0.3658 eV/atom


[3]
A plane-wave DFT calculation with PBE was carried out for a geometry-optimized Dy2Ni7 structure.

Cell: 4.9219 4.9219 36.0810 Å, 90.00 90.00 120.00°
Space group R-3m (No. 166, hexagonal axes)
Unique sites:
Dy  0.0000  0.0000  0.0507 [6 per cell]
Dy  0.0000  0.0000  0.1473 [6 per cell]
Ni  0.0000  0.0000  0.2781 [6 per cell]
Ni  0.0000  0.0000  0.3883 [6 per cell]
Ni  0.0000  0.0000  0.5000 [3 per cell]
Ni  0.0000  0.5000  0.0000 [9 per cell]
Ni  0.0008  0.5004  0.8902 [18 per cell]

Computed properties:
Calculated formation energy   -0.3978 eV/atom
Relative energy among the computed polymorphs   0.0000 eV per atom


[4]
A plane-wave DFT calculation with PBE was carried out for a geometry-optimized Dy8Ni18P11 structure.

Cell: 17.9528 17.9528 3.8220 Å, 90.00 90.00 120.00°
Space group P-6m2 (No. 187)
Unique sites:
Dy  0.0000  0.0000  0.0000 [1 per cell]
Dy  0.0015  0.2170  0.0000 [6 per cell]
Dy  0.0476  0.5238  0.5000 [3 per cell]
Dy  0.2607  0.5213  0.5000 [3 per cell]
Dy  0.4400  0.2200  0.0000 [3 per cell]
Ni  0.0726  0.1451  0.5000 [3 per cell]
Ni  0.0761  0.3692  0.5000 [6 per cell]
Ni  0.1845  0.3690  0.0000 [3 per cell]
Ni  0.1898  0.5949  0.0000 [3 per cell]
Ni  0.2871  0.1436  0.5000 [3 per cell]
Ni  0.3985  0.0279  0.0000 [6 per cell]
Ni  0.4969  0.1290  0.5000 [6 per cell]
Ni  0.5779  0.2889  0.5000 [3 per cell]
Ni  0.6146  0.2293  0.0000 [3 per cell]
P  0.1200  0.4525  0.0000 [6 per cell]
P  0.1431  0.0716  0.5000 [3 per cell]
P  0.1439  0.2878  0.5000 [3 per cell]
P  0.3333  0.6667  0.0000 [1 per cell]
P  0.3562  0.0717  0.5000 [6 per cell]
P  0.5456  0.0911  0.0000 [3 per cell]

Computed properties:
Calculated formation energy   -0.9838 eV/atom


[5]
A plane-wave DFT calculation with PBE was carried out for a geometry-optimized DyNi2P2 structure.

Cell: 3.871 3.871 9.381 Å, 90.00 90.00 90.00°
Space group I4/mmm (No. 139)
Unique sites:
Dy  0.000  0.000  0.000 [2 per cell]
Ni  0.000  0.500  0.250 [4 per cell]
P  0.000  0.000  0.377 [4 per cell]

Computed properties:
Calculated formation energy   -1.0152 eV/atom


[6]
A plane-wave DFT calculation with PBE was carried out for a geometry-optimized Dy2Ni12P7 structure.

Cell: 9.0285 9.0285 3.6803 Å, 90.00 90.00 120.00°
Space group P-6 (No. 174)
Unique sites:
Dy  0.0000  0.0000  0.0000 [1 per cell]
Dy  0.3333  0.6667  0.5000 [1 per cell]
Ni  0.0478  0.7637  0.5000 [3 per cell]
Ni  0.1019  0.3932  0.0000 [3 per cell]
Ni  0.3920  0.2103  0.0000 [3 per cell]
Ni  0.5450  0.1170  0.5000 [3 per cell]
P  0.0729  0.6256  0.0000 [3 per cell]
P  0.2612  0.0383  0.5000 [3 per cell]
P  0.6667  0.3333  0.0000 [1 per cell]

Computed properties:
Calculated formation energy   -0.7724 eV/atom


[7]
A plane-wave DFT calculation with PBE was carried out for a geometry-optimized Dy2NiRu structure.

Cell: 6.789 6.789 6.789 Å, 90.00 90.00 90.00°
Space group Fm-3m (No. 225)
Unique sites:
Dy  0.250  0.250  0.250 [8 per cell]
Ni  0.000  0.000  0.000 [4 per cell]
Ru  0.000  0.000  0.500 [4 per cell]

Computed properties:
Calculated formation energy   -0.3946 eV/atom


[8]
A plane-wave DFT calculation with PBE was carried out for a geometry-optimized Dy2NiSb4 structure.

Cell: 4.322 4.322 9.317 Å, 90.00 90.00 90.00°
Space group P-4m2 (No. 115)
Unique sites:
Dy  0.000  0.500  0.237 [2 per cell]
Ni  0.000  0.000  0.000 [1 per cell]
Sb  0.000  0.000  0.500 [1 per cell]
Sb  0.000  0.500  0.869 [2 per cell]
Sb  0.500  0.500  0.500 [1 per cell]

Computed properties:
Calculated formation energy   -0.8419 eV/atom


[9]
A plane-wave DFT calculation with PBE was carried out for a geometry-optimized DyNiSb structure.

Cell: 6.348 6.348 6.348 Å, 90.00 90.00 90.00°
Space group F-43m (No. 216)
Unique sites:
Dy  0.000  0.000  0.000 [4 per cell]
Ni  0.250  0.250  0.750 [4 per cell]
Sb  0.000  0.000  0.500 [4 per cell]

Computed properties:
Calculated formation energy   -0.9679 eV/atom
Largest piezoelectric modulus   0.268 C/m2


[10]
A plane-wave DFT calculation with PBE was carried out for a geometry-optimized DyNi2Sb2 structure.

Cell: 4.408 4.408 9.901 Å, 90.00 90.00 90.00°
Space group P4/nmm (No. 129, origin choice 2)
Unique sites:
Dy  0.250  0.250  0.241 [2 per cell]
Ni  0.250  0.250  0.625 [2 per cell]
Ni  0.250  0.750  0.000 [2 per cell]
Sb  0.250  0.250  0.873 [2 per cell]
Sb  0.250  0.750  0.500 [2 per cell]

Computed properties:
Calculated formation energy   -0.6362 eV/atom


[11]
A plane-wave DFT calculation with PBE was carried out for a geometry-optimized Dy3Si2Ni6 structure.

Cell: 8.758 8.758 8.758 Å, 90.00 90.00 90.00°
Space group Im-3m (No. 229)
Unique sites:
Dy  0.000  0.000  0.285 [12 per cell]
Si  0.250  0.250  0.250 [8 per cell]
Ni  0.000  0.331  0.331 [24 per cell]

Computed properties:
Calculated formation energy   -0.6588 eV/atom


[12]
A plane-wave DFT calculation with PBE was carried out for a geometry-optimized DySiNi structure.

Cell: 6.876 4.182 7.081 Å, 90.00 90.00 90.00°
Space group Pnma (No. 62)
Unique sites:
Dy  0.015  0.250  0.200 [4 per cell]
Si  0.191  0.250  0.592 [4 per cell]
Ni  0.180  0.750  0.421 [4 per cell]

Computed properties:
Calculated formation energy   -0.8116 eV/atom


[13]
A plane-wave DFT calculation with PBE was carried out for a geometry-optimized DySi3Ni5 structure.

Cell: 18.680 3.787 6.586 Å, 90.00 90.00 90.00°
Space group Pnma (No. 62)
Unique sites:
Dy  0.144  0.250  0.124 [4 per cell]
Si  0.074  0.750  0.845 [4 per cell]
Si  0.086  0.750  0.419 [4 per cell]
Si  0.237  0.250  0.624 [4 per cell]
Ni  0.005  0.750  0.133 [4 per cell]
Ni  0.015  0.250  0.385 [4 per cell]
Ni  0.115  0.250  0.643 [4 per cell]
Ni  0.200  0.750  0.816 [4 per cell]
Ni  0.206  0.750  0.432 [4 per cell]

Computed properties:
Calculated formation energy   -0.7156 eV/atom


[14]
A plane-wave DFT calculation with PBE was carried out for a geometry-optimized Dy2Si5Ni3 structure.

Cell: 9.575 11.130 5.647 Å, 90.00 90.00 90.00°
Space group Ibam (No. 72)
Unique sites:
Dy  0.237  0.131  0.000 [8 per cell]
Si  0.000  0.000  0.250 [4 per cell]
Si  0.000  0.267  0.250 [8 per cell]
Si  0.153  0.393  0.000 [8 per cell]
Ni  0.000  0.500  0.250 [4 per cell]
Ni  0.112  0.134  0.500 [8 per cell]

Computed properties:
Calculated formation energy   -0.7925 eV/atom


[15]
A plane-wave DFT calculation with PBE was carried out for a geometry-optimized DySi2Ni10 structure.

Cell: 8.163 8.163 4.668 Å, 90.00 90.00 90.00°
Space group P4/nmm (No. 129, origin choice 2)
Unique sites:
Dy  0.250  0.250  0.221 [2 per cell]
Si  0.000  0.000  0.500 [4 per cell]
Ni  0.000  0.000  0.000 [4 per cell]
Ni  0.026  0.250  0.729 [8 per cell]
Ni  0.103  0.750  0.761 [8 per cell]

Computed properties:
Calculated formation energy   -0.4415 eV/atom